Entry from the Materials Project: a relaxed structure of Pr2Al9Ir3 (meta-GGA r2SCAN).

Unit cell a=7.581 b=7.581 c=9.608 alpha=90.00 beta=90.00 gamma=119.35
Fractional coordinates of all 28 atoms:
Pr  0.995  0.671  0.250
Pr  0.005  0.329  0.750
Pr  0.671  0.995  0.250
Pr  0.329  0.005  0.750
Al  0.132  0.132  0.250
Al  0.868  0.868  0.750
Al  0.004  0.335  0.072
Al  0.996  0.665  0.928
Al  0.996  0.665  0.572
Al  0.335  0.004  0.428
Al  0.004  0.335  0.428
Al  0.665  0.996  0.572
Al  0.665  0.996  0.928
Al  0.335  0.004  0.072
Al  0.335  0.335  0.544
Al  0.665  0.665  0.456
Al  0.665  0.665  0.044
Al  0.335  0.335  0.956
Al  0.339  0.545  0.250
Al  0.661  0.455  0.750
Al  0.545  0.339  0.250
Al  0.455  0.661  0.750
Ir  0.671  0.329  0.000
Ir  0.329  0.671  0.000
Ir  0.329  0.671  0.500
Ir  0.671  0.329  0.500
Ir  0.000  0.000  0.000
Ir  0.000  0.000  0.500

E (eV per formula unit): -289.4
Crystal system: orthorhombic
V (Å³ per cell): 481
E_form (eV/atom): -0.921

=====

Entry from the Materials Project: a relaxed structure of Sc6Al16Ir7 (meta-GGA r2SCAN).

Unit cell a=8.706 b=8.706 c=8.706 alpha=60.00 beta=60.00 gamma=60.00
Fractional coordinates of all 29 atoms:
Sc  0.208  0.792  0.792
Sc  0.792  0.208  0.208
Sc  0.792  0.208  0.792
Sc  0.792  0.792  0.208
Sc  0.208  0.792  0.208
Sc  0.208  0.208  0.792
Al  0.833  0.833  0.833
Al  0.833  0.833  0.501
Al  0.501  0.833  0.833
Al  0.833  0.501  0.833
Al  0.167  0.167  0.167
Al  0.167  0.167  0.499
Al  0.167  0.499  0.167
Al  0.499  0.167  0.167
Al  0.620  0.620  0.620
Al  0.620  0.620  0.140
Al  0.140  0.620  0.620
Al  0.620  0.140  0.620
Al  0.380  0.380  0.380
Al  0.380  0.380  0.860
Al  0.380  0.860  0.380
Al  0.860  0.380  0.380
Ir  0.500  0.500  0.500
Ir  0.000  0.500  0.500
Ir  0.500  0.000  0.000
Ir  0.500  0.000  0.500
Ir  0.500  0.500  0.000
Ir  0.000  0.500  0.000
Ir  0.000  0.000  0.500

E (eV per formula unit): -570.7
Crystal system: cubic
V (Å³ per cell): 467
E_form (eV/atom): -0.967

=====

Entry from the Materials Project: a relaxed structure of ScAlIr2 (meta-GGA r2SCAN).

Unit cell a=4.390 b=4.390 c=4.390 alpha=60.00 beta=60.00 gamma=60.00
Fractional coordinates of all 4 atoms:
Sc  0.750  0.750  0.750
Al  0.250  0.250  0.250
Ir  0.000  0.000  0.000
Ir  0.500  0.500  0.500

E (eV per formula unit): -127.3
Crystal system: cubic
V (Å³ per cell): 60
E_form (eV/atom): -1.112

=====

Q: Among the records above, which one has the lowest E?
A: Sc6Al16Ir7

=====

Q: E_form of number 1 (Pr2Al9Ir3)?
A: -0.921 eV/atom